{"formula": "RbMg3", "functional": "r²SCAN", "state": "optimized geometry", "cell": [[8.5638, 0.0000, 0.0000], [-4.2819, 7.4165, 0.0000], [0.0000, 0.0000, 5.0137]], "species": ["Rb", "Rb", "Mg", "Mg", "Mg", "Mg", "Mg", "Mg"], "frac_coords": [[0.3333, 0.6667, 0.2500], [0.6667, 0.3333, 0.7500], [0.1206, 0.2412, 0.7500], [0.1206, 0.8794, 0.7500], [0.2412, 0.1206, 0.2500], [0.7588, 0.8794, 0.7500], [0.8794, 0.1206, 0.2500], [0.8794, 0.7588, 0.2500]], "m_tot_mub_per_cell": 0.0, "space_group": "No. 194", "formation_enthalpy_0k_ev_per_atom": 0.27}